## Sc2CrReO6 (GGA+U)

Data for an optimized crystal structure of Sc2CrReO6.

a = 5.471 Å, b = 5.471 Å, c = 5.471 Å
α = 60.00°, β = 60.00°, γ = 60.00°
Element x y z (fractional)
Cr: 0.500 0.500 0.500
O: 0.252 0.252 0.748
O: 0.252 0.748 0.748
O: 0.252 0.748 0.252
O: 0.748 0.252 0.252
O: 0.748 0.748 0.252
O: 0.748 0.252 0.748
Sc: 0.750 0.750 0.750
Sc: 0.250 0.250 0.250
Re: 0.000 0.000 0.000

* DFT total energy: -8.02 eV/atom
* ΔE_f: -21.9 eV/f.u.